Compound: Na6Si7Ge8S5O48
Source: the Materials Project database
Functional: PBE
Structure: relaxed

Summary:
Formation energy (meV/atom): -2281.6
Space group: P1, No. 1

Cell: 17.1121 8.5626 21.9148 Å, 89.95 89.34 120.03°
With the nearest neighbours (Å) after each atom.
Sites, in units of the cell vectors:
O: 0.0639 0.6300 0.3541  1 Si 1.61
O: 0.6536 0.4598 0.4741  1 S 1.51
O: 0.7412 0.1715 0.2468  1 Si 1.61, 1 Ge 1.79
O: 0.7676 0.7148 0.9772  1 Si 1.64
O: 0.7598 0.3722 0.1425  1 Si 1.63, 1 Ge 1.77
O: 0.5753 0.9527 0.1918  1 Si 1.61
O: 0.1481 0.4772 0.7583  1 Si 1.66, 1 Ge 1.84
O: 0.2486 0.3632 0.4230  1 S 1.52
O: 0.1818 0.4912 0.3630  1 S 1.47
O: 0.7562 0.8804 0.3634  1 S 1.48
O: 0.6478 0.8201 0.2579  1 Si 1.67, 1 Ge 1.80
O: 0.1079 0.0467 0.3122  1 Si 1.66, 1 Ge 1.80
O: 0.7555 0.8262 0.7577  1 Si 1.60
O: 0.0115 0.8509 0.4097  1 Si 1.67
O: 0.9827 0.7890 0.8053  1 S 1.46
O: 0.4017 0.8265 0.9118  1 S 1.47
O: 0.4125 0.5125 0.7389  1 Si 1.65
O: 0.9145 0.8470 0.9068  1 Si 1.64, 1 Ge 1.82
O: 0.7316 0.1583 0.5257  1 S 1.50
O: 0.9198 0.0309 0.0875  1 S 1.52
O: 0.9879 0.8104 0.0873  1 S 1.49
O: 0.5839 0.4514 0.9732  1 Si 1.63, 1 Ge 1.81
O: 0.0853 0.1997 0.4161  1 S 1.49
O: 0.9199 0.3012 0.5270  1 S 1.51
O: 0.0188 0.1935 0.9146  1 Si 1.63, 1 Ge 1.81
O: 0.9130 0.3134 0.2398  1 Si 1.65
O: 0.7342 0.2913 0.0215  1 Si 1.67, 1 Ge 1.80
O: 0.9211 0.4786 0.4212  1 Si 1.65, 1 Ge 1.79
O: 0.5668 0.6205 0.3580  1 Si 1.65, 1 Ge 1.81
O: 0.5111 0.1702 0.9092  1 Si 1.67
O: 0.9775 0.1549 0.3119  1 Si 1.65, 1 Ge 1.81
O: 0.7540 0.8710 0.0785  1 S 1.47
O: 0.6870 0.5140 0.0793  1 Si 1.64, 1 Ge 1.80
O: 0.0779 0.9544 0.1901  1 Si 1.65, 1 Ge 1.80
O: 0.4220 0.0275 0.0903  1 Si 1.61
O: 0.9022 0.9792 0.4134  1 S 1.47
O: 0.0175 0.8216 0.6933  1 S 1.48
O: 0.6819 0.8746 0.8608  1 S 1.48
O: 0.8167 0.1376 0.4263  1 S 1.50
O: 0.2470 0.1393 0.9223  1 S 1.48
O: 0.0908 0.4823 0.9780  1 Si 1.63, 1 Ge 1.77
O: 0.0956 0.1632 0.0867  1 S 1.50
O: 0.1511 0.4646 0.4756  1 S 1.50
O: 0.2504 0.8165 0.7607  1 Si 1.62, 1 Ge 1.80
O: 0.4418 0.3649 0.6396  1 S 1.47
O: 0.4236 0.3007 0.5283  1 S 1.49
O: 0.7447 0.6227 0.8573  1 Si 1.64
O: 0.8925 0.8350 0.1887  1 Si 1.63, 1 Ge 1.79
O: 0.8230 0.1310 0.1396  1 S 1.48
O: 0.0870 0.4849 0.2585  1 Si 1.62
O: 0.1773 0.4943 0.0768  1 S 1.51
O: 0.5983 0.0313 0.5862  1 S 1.48
O: 0.0965 0.1486 0.8118  1 Si 1.63, 1 Ge 1.80
O: 0.2401 0.8370 0.0746  1 Si 1.67, 1 Ge 1.79
O: 0.0834 0.9641 0.9116  1 S 1.47
O: 0.5813 0.6451 0.0733  1 Si 1.64, 1 Ge 1.83
O: 0.7483 0.1364 0.9205  1 S 1.52
O: 0.4859 0.1768 0.3078  1 S 1.48
O: 0.5994 0.0460 0.3134  1 Si 1.64, 1 Ge 1.79
O: 0.7492 0.3556 0.4236  1 S 1.51
O: 0.2279 0.3007 0.0255  1 S 1.49
O: 0.2553 0.6870 0.2584  1 Si 1.61
O: 0.5830 0.4712 0.2560  1 S 1.53
O: 0.8508 0.5385 0.5232  1 Si 1.64, 1 Ge 1.75
O: 0.4770 0.7999 0.8108  1 Si 1.63, 1 Ge 1.82
O: 0.5903 0.7008 0.4789  1 Si 1.64, 1 Ge 1.77
O: 0.4164 0.8081 0.5868  1 S 1.51
O: 0.5873 0.6903 0.7578  1 Si 1.62
O: 0.4204 0.3097 0.2481  1 S 1.50
O: 0.9171 0.7869 0.3095  1 Si 1.64, 1 Ge 1.77
O: 0.5625 0.4953 0.8527  1 Si 1.63
O: 0.4135 0.5375 0.0229  1 Si 1.65, 1 Ge 1.74
O: 0.5230 0.8363 0.6877  1 Si 1.65, 1 Ge 1.76
O: 0.1519 0.8255 0.2529  1 Si 1.63
O: 0.8483 0.5189 0.2438  1 Si 1.63
O: 0.1862 0.8769 0.8611  1 S 1.50
O: 0.6516 0.8428 0.9732  1 S 1.47
O: 0.3475 0.1543 0.0213  1 Si 1.64, 1 Ge 1.74
O: 0.0701 0.6444 0.0767  1 S 1.50
O: 0.4869 0.8126 0.0859  1 Si 1.61
O: 0.8988 0.9575 0.6876  1 Si 1.62, 1 Ge 1.81
O: 0.5173 0.2119 0.1954  1 S 1.45
O: 0.3481 0.5139 0.2389  1 Si 1.65
O: 0.2723 0.7018 0.9730  1 S 1.49
O: 0.2435 0.8665 0.3583  1 Si 1.62
O: 0.4195 0.3568 0.9191  1 Si 1.64, 1 Ge 1.80
O: 0.9204 0.5270 0.7437  1 S 1.51
O: 0.9196 0.0598 0.8072  1 Si 1.65, 1 Ge 1.80
O: 0.0701 0.4991 0.5749  1 S 1.49
O: 0.7408 0.6425 0.5746  1 Si 1.66, 1 Ge 1.81
O: 0.6050 0.1662 0.8119  1 Si 1.63, 1 Ge 1.81
O: 0.4177 0.7782 0.3087  1 Si 1.66, 1 Ge 1.77
O: 0.0818 0.6931 0.7545  1 S 1.50
O: 0.7436 0.1204 0.6374  1 S 1.49
O: 0.2581 0.1434 0.6422  1 Si 1.63, 1 Ge 1.80
O: 0.8511 0.1865 0.7355  1 Si 1.67, 1 Ge 1.83
O: 0.3482 0.1771 0.7438  1 Si 1.63, 1 Ge 1.82
O: 0.4882 0.1656 0.5873  1 S 1.50
O: 0.6878 0.4948 0.3627  1 S 1.48
O: 0.9229 0.3583 0.9278  1 Si 1.64, 1 Ge 1.82
O: 0.4180 0.0459 0.8088  1 Si 1.62, 1 Ge 1.80
O: 0.2467 0.1884 0.2427  1 Si 1.61
O: 0.2494 0.6336 0.5776  1 S 1.50
O: 0.9219 0.8220 0.5904  1 Si 1.62
O: 0.6796 0.8633 0.5771  1 S 1.49
O: 0.9237 0.5467 0.0282  1 S 1.49
O: 0.9421 0.5194 0.1399  1 S 1.47
O: 0.9855 0.1719 0.5854  1 S 1.48
O: 0.8190 0.4914 0.9237  1 Si 1.67, 1 Ge 1.85
O: 0.5185 0.8459 0.4140  1 Si 1.63
O: 0.8542 0.1622 0.0273  1 S 1.50
O: 0.2341 0.1728 0.5213  1 Si 1.66, 1 Ge 1.82
O: 0.2763 0.8322 0.4766  1 Si 1.65, 1 Ge 1.77
O: 0.1518 0.8433 0.9726  1 S 1.50
O: 0.7728 0.8439 0.4748  1 S 1.51
O: 0.6522 0.4812 0.7528  1 Si 1.62
O: 0.3988 0.8440 0.1894  1 Si 1.61
O: 0.5856 0.2023 0.4135  1 S 1.46
O: 0.4235 0.4892 0.4283  1 Si 1.64, 1 Ge 1.81
O: 0.0752 0.1993 0.6907  1 Si 1.64
O: 0.0654 0.5098 0.8567  1 Si 1.66, 1 Ge 1.81
O: 0.9395 0.3697 0.6380  1 S 1.49
O: 0.3201 0.5148 0.6389  1 S 1.48
O: 0.3080 0.1276 0.1431  1 Si 1.63, 1 Ge 1.82
O: 0.5845 0.9726 0.9131  1 S 1.50
O: 0.0837 0.7109 0.4753  1 Si 1.65, 1 Ge 1.80
O: 0.8135 0.4907 0.6429  1 Si 1.64, 1 Ge 1.79
O: 0.2401 0.3093 0.7458  1 Si 1.61, 1 Ge 1.78
O: 0.4171 0.9874 0.4061  1 Si 1.63
O: 0.3190 0.1495 0.4229  1 Si 1.66, 1 Ge 1.84
O: 0.1803 0.8482 0.5786  1 Si 1.67, 1 Ge 1.82
O: 0.7439 0.3039 0.7456  1 Si 1.62, 1 Ge 1.77
O: 0.3147 0.4952 0.9229  1 S 1.48
O: 0.4365 0.4932 0.1443  1 Si 1.65
O: 0.5704 0.4959 0.5768  1 S 1.50
O: 0.0231 0.2096 0.1888  1 Si 1.64, 1 Ge 1.76
O: 0.3513 0.5448 0.5269  1 S 1.50
O: 0.2409 0.3643 0.1376  1 S 1.49
O: 0.0911 0.0304 0.5919  1 Si 1.63
O: 0.3903 0.9490 0.6883  1 Si 1.64, 1 Ge 1.78
O: 0.7514 0.6857 0.2614  1 Si 1.62, 1 Ge 1.79
O: 0.5919 0.1570 0.0924  1 Si 1.61
O: 0.2562 0.6350 0.8614  1 S 1.51
O: 0.5791 0.2035 0.6894  1 Si 1.66, 1 Ge 1.79
Si: 0.3316 0.0394 0.0849  4 O 1.61-1.67
Si: 0.6922 0.3284 0.0853  4 O 1.61-1.67
Si: 0.1388 0.2752 0.7509  4 O 1.61-1.66
Si: 0.8112 0.6769 0.9161  4 O 1.64-1.67
Si: 0.6390 0.0048 0.2507  4 O 1.61-1.67
Si: 0.0000 0.2847 0.2511  4 O 1.62-1.65
Si: 0.0251 0.3893 0.9202  4 O 1.63-1.66
Si: 0.6451 0.2857 0.7496  4 O 1.62-1.66
Si: 0.5254 0.6640 0.4198  4 O 1.63-1.65
Si: 0.3538 0.7108 0.2472  4 O 1.61-1.66
Si: 0.1483 0.0114 0.2478  4 O 1.61-1.66
Si: 0.4999 0.7152 0.7510  4 O 1.62-1.65
Si: 0.8541 0.9967 0.7471  4 O 1.60-1.67
Si: 0.8510 0.7106 0.2502  4 O 1.62-1.64
Si: 0.3151 0.9532 0.4133  4 O 1.62-1.66
Si: 0.0199 0.6649 0.4143  4 O 1.61-1.67
Si: 0.3506 0.9904 0.7512  4 O 1.62-1.64
Si: 0.8324 0.6252 0.5845  4 O 1.62-1.66
Si: 0.1913 0.0525 0.5847  4 O 1.63-1.67
Si: 0.4799 0.6183 0.0825  4 O 1.61-1.65
Si: 0.5191 0.3723 0.9137  4 O 1.63-1.67
S: 0.1658 0.3846 0.4189  4 O 1.47-1.52
S: 0.6879 0.0451 0.5816  4 O 1.48-1.50
S: 0.6655 0.9485 0.9174  4 O 1.47-1.52
S: 0.8119 0.9591 0.4184  4 O 1.47-1.51
S: 0.0003 0.7151 0.7504  4 O 1.46-1.51
S: 0.3338 0.6227 0.5829  4 O 1.48-1.51
S: 0.1868 0.3290 0.0814  4 O 1.49-1.51
S: 0.8358 0.0484 0.0836  4 O 1.47-1.52
S: 0.9789 0.6278 0.0838  4 O 1.47-1.50
S: 0.4789 0.3299 0.5837  4 O 1.47-1.50
S: 0.1670 0.9564 0.9163  4 O 1.47-1.50
S: 0.6674 0.3779 0.4171  4 O 1.46-1.51
S: 0.5004 0.2822 0.2513  4 O 1.45-1.53
S: 0.9790 0.3371 0.5817  4 O 1.48-1.51
S: 0.3117 0.6641 0.9176  4 O 1.47-1.51
Na: 0.1746 0.6719 0.1687  6 O 2.38-2.64
Na: 0.9989 0.3576 0.7517  4 O 2.23-2.49
Na: 0.3307 0.3338 0.8339  6 O 2.37-2.53
Na: 0.9969 0.0000 0.9986  6 O 2.37-2.51
Na: 0.3328 0.3355 0.3310  6 O 2.39-2.59
Na: 0.8309 0.3269 0.3310  6 O 2.36-2.58
Na: 0.4972 0.9984 0.0044  6 O 2.34-2.58
Na: 0.6655 0.3057 0.9175  4 O 2.30-2.48
Na: 0.4959 0.9924 0.4973  6 O 2.35-2.54
Na: 0.4997 0.3684 0.7531  5 O 2.28-2.45
Na: 0.6722 0.6753 0.6699  6 O 2.36-2.64
Na: 0.6702 0.6677 0.1630  6 O 2.36-2.58
Na: 0.8322 0.3317 0.8348  6 O 2.42-2.60
Na: 0.1664 0.0278 0.4140  5 O 2.29-2.50
Na: 0.1747 0.6779 0.6663  6 O 2.38-2.63
Na: 0.9978 0.9910 0.5020  6 O 2.36-2.52
Na: 0.0002 0.6332 0.2508  5 O 2.27-2.53
Na: 0.4977 0.6391 0.2459  3 O 2.23-2.44
Ge: 0.6668 0.6576 0.8093  5 O 1.85-1.90
Ge: 0.6683 0.6633 0.5194  4 O 1.77-1.93
Ge: 0.1686 0.6719 0.0204  4 O 1.77-1.95
Ge: 0.1720 0.7014 0.5161  3 O 1.77-1.82
Ge: 0.3320 0.3294 0.1852  5 O 1.82-2.03
Ge: 0.3345 0.3253 0.4774  4 O 1.81-1.99
Ge: 0.8344 0.3442 0.9784  4 O 1.80-1.98
Ge: 0.1670 0.6795 0.3073  5 O 1.82-1.88
Ge: 0.9975 0.0027 0.1554  3 O 1.76-1.80
Ge: 0.4985 0.0072 0.8480  4 O 1.80-1.87
Ge: 0.4960 0.9934 0.6577  3 O 1.76-1.79
Ge: 0.4939 0.9629 0.3536  4 O 1.77-1.84
Ge: 0.1675 0.6551 0.8134  4 O 1.80-1.93
Ge: 0.3495 0.3355 0.9841  3 O 1.74-1.80
Ge: 0.9994 0.9875 0.3452  4 O 1.77-1.91
Ge: 0.4969 0.9811 0.1396  5 O 1.80-1.88
Ge: 0.6630 0.6735 0.3093  4 O 1.79-1.98
Ge: 0.8237 0.3290 0.6886  4 O 1.77-1.98
Ge: 0.6624 0.6323 0.0214  4 O 1.80-1.84
Ge: 0.9938 0.0264 0.8563  4 O 1.80-1.82
Ge: 0.8402 0.3571 0.4803  3 O 1.75-1.95
Ge: 0.9991 0.9971 0.6455  5 O 1.81-1.98
Ge: 0.8249 0.3270 0.1944  4 O 1.77-1.87
Ge: 0.3246 0.3203 0.6949  4 O 1.78-1.86